1.
# CsFeH24S2O20, optimized geometry, DFT PBE with a Hubbard U
data_CsFeH24S2O20
_chemical_formula_sum 'Cs4 Fe4 H96 S8 O80'
_symmetry_space_group_name_H-M 'P 1'
_symmetry_Int_Tables_number 1
_cell_length_a 12.452
_cell_length_b 12.452
_cell_length_c 12.452
_cell_angle_alpha 90.00
_cell_angle_beta 90.00
_cell_angle_gamma 90.00
loop_
_symmetry_equiv_pos_as_xyz
'x,y,z'
loop_
_atom_site_label
_atom_site_fract_x
_atom_site_fract_y
_atom_site_fract_z
_atom_site_occupancy
Cs1 0.000 0.000 0.500 1
Cs2 0.000 0.500 0.000 1
Cs3 0.500 0.000 0.000 1
Cs4 0.500 0.500 0.500 1
Fe1 0.500 0.500 0.000 1
Fe2 0.500 0.000 0.500 1
Fe3 0.000 0.500 0.500 1
Fe4 0.000 0.000 0.000 1
H1 0.222 0.509 0.230 1
H2 0.778 0.009 0.270 1
H3 0.278 0.491 0.730 1
H4 0.722 0.991 0.770 1
H5 0.230 0.222 0.509 1
H6 0.270 0.778 0.009 1
H7 0.730 0.278 0.491 1
H8 0.770 0.722 0.991 1
H9 0.509 0.230 0.222 1
H10 0.009 0.270 0.778 1
H11 0.491 0.730 0.278 1
H12 0.991 0.770 0.722 1
H13 0.778 0.491 0.770 1
H14 0.222 0.991 0.730 1
H15 0.722 0.509 0.270 1
H16 0.278 0.009 0.230 1
H17 0.770 0.778 0.491 1
H18 0.730 0.222 0.991 1
H19 0.270 0.722 0.509 1
H20 0.230 0.278 0.009 1
H21 0.491 0.770 0.778 1
H22 0.991 0.730 0.222 1
H23 0.509 0.270 0.722 1
H24 0.009 0.230 0.278 1
H25 0.182 0.628 0.221 1
H26 0.818 0.128 0.279 1
H27 0.318 0.372 0.721 1
H28 0.682 0.872 0.779 1
H29 0.221 0.182 0.628 1
H30 0.279 0.818 0.128 1
H31 0.721 0.318 0.372 1
H32 0.779 0.682 0.872 1
H33 0.628 0.221 0.182 1
H34 0.128 0.279 0.818 1
H35 0.372 0.721 0.318 1
H36 0.872 0.779 0.682 1
H37 0.818 0.372 0.779 1
H38 0.182 0.872 0.721 1
H39 0.682 0.628 0.279 1
H40 0.318 0.128 0.221 1
H41 0.779 0.818 0.372 1
H42 0.721 0.182 0.872 1
H43 0.279 0.682 0.628 1
H44 0.221 0.318 0.128 1
H45 0.372 0.779 0.818 1
H46 0.872 0.721 0.182 1
H47 0.628 0.279 0.682 1
H48 0.128 0.221 0.318 1
H49 0.478 0.711 0.935 1
H50 0.522 0.211 0.565 1
H51 0.022 0.289 0.435 1
H52 0.978 0.789 0.065 1
H53 0.935 0.478 0.711 1
H54 0.565 0.522 0.211 1
H55 0.435 0.022 0.289 1
H56 0.065 0.978 0.789 1
H57 0.711 0.935 0.478 1
H58 0.211 0.565 0.522 1
H59 0.289 0.435 0.022 1
H60 0.789 0.065 0.978 1
H61 0.522 0.289 0.065 1
H62 0.478 0.789 0.435 1
H63 0.978 0.711 0.565 1
H64 0.022 0.211 0.935 1
H65 0.065 0.522 0.289 1
H66 0.435 0.478 0.789 1
H67 0.565 0.978 0.711 1
H68 0.935 0.022 0.211 1
H69 0.289 0.065 0.522 1
H70 0.789 0.435 0.478 1
H71 0.711 0.565 0.978 1
H72 0.211 0.935 0.022 1
H73 0.523 0.706 0.061 1
H74 0.477 0.206 0.439 1
H75 0.977 0.294 0.561 1
H76 0.023 0.794 0.939 1
H77 0.061 0.523 0.706 1
H78 0.439 0.477 0.206 1
H79 0.561 0.977 0.294 1
H80 0.939 0.023 0.794 1
H81 0.706 0.061 0.523 1
H82 0.206 0.439 0.477 1
H83 0.294 0.561 0.977 1
H84 0.794 0.939 0.023 1
H85 0.477 0.294 0.939 1
H86 0.523 0.794 0.561 1
H87 0.023 0.706 0.439 1
H88 0.977 0.206 0.061 1
H89 0.939 0.477 0.294 1
H90 0.561 0.523 0.794 1
H91 0.439 0.023 0.706 1
H92 0.061 0.977 0.206 1
H93 0.294 0.939 0.477 1
H94 0.794 0.561 0.523 1
H95 0.706 0.439 0.023 1
H96 0.206 0.061 0.977 1
S1 0.172 0.828 0.328 1
S2 0.828 0.328 0.172 1
S3 0.328 0.172 0.828 1
S4 0.672 0.672 0.672 1
S5 0.828 0.172 0.672 1
S6 0.172 0.672 0.828 1
S7 0.672 0.828 0.172 1
S8 0.328 0.328 0.328 1
O1 0.242 0.758 0.258 1
O2 0.758 0.258 0.242 1
O3 0.258 0.242 0.758 1
O4 0.742 0.742 0.742 1
O5 0.758 0.242 0.742 1
O6 0.242 0.742 0.758 1
O7 0.742 0.758 0.242 1
O8 0.258 0.258 0.258 1
O9 0.062 0.781 0.335 1
O10 0.938 0.281 0.165 1
O11 0.438 0.219 0.835 1
O12 0.562 0.719 0.665 1
O13 0.335 0.062 0.781 1
O14 0.165 0.938 0.281 1
O15 0.835 0.438 0.219 1
O16 0.665 0.562 0.719 1
O17 0.781 0.335 0.062 1
O18 0.281 0.165 0.938 1
O19 0.219 0.835 0.438 1
O20 0.719 0.665 0.562 1
O21 0.938 0.219 0.665 1
O22 0.062 0.719 0.835 1
O23 0.562 0.781 0.165 1
O24 0.438 0.281 0.335 1
O25 0.665 0.938 0.219 1
O26 0.835 0.062 0.719 1
O27 0.165 0.562 0.781 1
O28 0.335 0.438 0.281 1
O29 0.219 0.665 0.938 1
O30 0.719 0.835 0.062 1
O31 0.781 0.165 0.562 1
O32 0.281 0.335 0.438 1
O33 0.159 0.553 0.209 1
O34 0.841 0.053 0.291 1
O35 0.341 0.447 0.709 1
O36 0.659 0.947 0.791 1
O37 0.209 0.159 0.553 1
O38 0.291 0.841 0.053 1
O39 0.709 0.341 0.447 1
O40 0.791 0.659 0.947 1
O41 0.553 0.209 0.159 1
O42 0.053 0.291 0.841 1
O43 0.447 0.709 0.341 1
O44 0.947 0.791 0.659 1
O45 0.841 0.447 0.791 1
O46 0.159 0.947 0.709 1
O47 0.659 0.553 0.291 1
O48 0.341 0.053 0.209 1
O49 0.791 0.841 0.447 1
O50 0.709 0.159 0.947 1
O51 0.291 0.659 0.553 1
O52 0.209 0.341 0.053 1
O53 0.447 0.791 0.841 1
O54 0.947 0.709 0.159 1
O55 0.553 0.291 0.659 1
O56 0.053 0.209 0.341 1
O57 0.500 0.662 0.997 1
O58 0.500 0.162 0.503 1
O59 0.000 0.338 0.497 1
O60 0.000 0.838 0.003 1
O61 0.997 0.500 0.662 1
O62 0.503 0.500 0.162 1
O63 0.497 0.000 0.338 1
O64 0.003 0.000 0.838 1
O65 0.662 0.997 0.500 1
O66 0.162 0.503 0.500 1
O67 0.338 0.497 0.000 1
O68 0.838 0.003 0.000 1
O69 0.500 0.338 0.003 1
O70 0.500 0.838 0.497 1
O71 0.000 0.662 0.503 1
O72 0.000 0.162 0.997 1
O73 0.003 0.500 0.338 1
O74 0.497 0.500 0.838 1
O75 0.503 0.000 0.662 1
O76 0.997 0.000 0.162 1
O77 0.338 0.003 0.500 1
O78 0.838 0.497 0.500 1
O79 0.662 0.503 0.000 1
O80 0.162 0.997 0.000 1
# Crystal system = cubic
# Energy of formation = -1453 meV per atom
# DFT total energy = -5.245 eV per atom

=====

2.
# Li2Ni3O6, optimized geometry, DFT PBE with a Hubbard U
data_Li2Ni3O6
_chemical_formula_sum 'Li4 Ni6 O12'
_symmetry_space_group_name_H-M 'P 1'
_symmetry_Int_Tables_number 1
_cell_length_a 4.982
_cell_length_b 4.982
_cell_length_c 10.006
_cell_angle_alpha 90.00
_cell_angle_beta 90.00
_cell_angle_gamma 119.54
loop_
_symmetry_equiv_pos_as_xyz
'x,y,z'
loop_
_atom_site_label
_atom_site_fract_x
_atom_site_fract_y
_atom_site_fract_z
_atom_site_occupancy
Li1 0.660 0.160 0.750 1
Li2 0.840 0.340 0.250 1
Li3 0.160 0.660 0.750 1
Li4 0.340 0.840 0.250 1
Ni1 0.000 0.000 0.000 1
Ni2 0.500 0.500 0.500 1
Ni3 0.665 0.335 0.000 1
Ni4 0.165 0.835 0.500 1
Ni5 0.835 0.165 0.500 1
Ni6 0.335 0.665 0.000 1
O1 0.171 0.171 0.596 1
O2 0.329 0.329 0.096 1
O3 0.671 0.671 0.904 1
O4 0.341 0.991 0.900 1
O5 0.829 0.829 0.404 1
O6 0.509 0.159 0.400 1
O7 0.841 0.491 0.600 1
O8 0.009 0.659 0.100 1
O9 0.659 0.009 0.100 1
O10 0.991 0.341 0.900 1
O11 0.159 0.509 0.400 1
O12 0.491 0.841 0.600 1
# Crystal system = orthorhombic
# Energy of formation = -1242 meV per atom
# DFT total energy = -4.796 eV per atom
# Energy above the most stable polymorph in this dataset = 5.2 kJ/mol of atoms

=====

3.
# Li3V3P8O29, optimized geometry, DFT PBE with a Hubbard U
data_Li3V3P8O29
_chemical_formula_sum 'Li6 V6 P16 O58'
_symmetry_space_group_name_H-M 'P 1'
_symmetry_Int_Tables_number 1
_cell_length_a 9.750
_cell_length_b 9.762
_cell_length_c 14.424
_cell_angle_alpha 89.10
_cell_angle_beta 89.38
_cell_angle_gamma 60.24
loop_
_symmetry_equiv_pos_as_xyz
'x,y,z'
loop_
_atom_site_label
_atom_site_fract_x
_atom_site_fract_y
_atom_site_fract_z
_atom_site_occupancy
Li1 0.306 0.919 0.440 1
Li2 0.914 0.320 0.938 1
Li3 0.221 0.687 0.559 1
Li4 0.783 0.287 0.448 1
Li5 0.678 0.225 0.049 1
Li6 0.082 0.914 0.986 1
V1 0.435 0.572 0.756 1
V2 0.564 0.435 0.249 1
V3 0.999 0.568 0.248 1
V4 0.001 0.438 0.749 1
V5 0.566 0.996 0.753 1
V6 0.436 0.007 0.247 1
P1 0.780 0.920 0.164 1
P2 0.910 0.779 0.661 1
P3 0.316 0.914 0.657 1
P4 0.670 0.663 0.870 1
P5 0.665 0.666 0.365 1
P6 0.310 0.779 0.164 1
P7 0.227 0.680 0.341 1
P8 0.912 0.318 0.154 1
P9 0.080 0.695 0.842 1
P10 0.770 0.324 0.661 1
P11 0.683 0.225 0.838 1
P12 0.338 0.336 0.635 1
P13 0.333 0.338 0.133 1
P14 0.687 0.085 0.346 1
P15 0.085 0.226 0.333 1
P16 0.218 0.082 0.837 1
O1 0.761 0.011 0.434 1
O2 0.739 0.919 0.668 1
O3 0.012 0.789 0.926 1
O4 0.915 0.746 0.168 1
O5 0.619 0.921 0.174 1
O6 0.672 0.809 0.824 1
O7 0.476 0.904 0.680 1
O8 0.191 0.000 0.916 1
O9 0.352 0.913 0.172 1
O10 0.815 0.660 0.320 1
O11 0.903 0.623 0.680 1
O12 0.518 0.819 0.329 1
O13 0.666 0.658 0.973 1
O14 0.670 0.645 0.467 1
O15 0.516 0.669 0.826 1
O16 0.911 0.475 0.172 1
O17 0.814 0.509 0.830 1
O18 0.336 0.745 0.666 1
O19 0.211 0.798 0.258 1
O20 0.241 0.749 0.430 1
O21 0.214 0.796 0.082 1
O22 0.464 0.617 0.173 1
O23 0.659 0.522 0.318 1
O24 0.256 0.652 0.828 1
O25 0.619 0.483 0.683 1
O26 0.917 0.346 0.672 1
O27 0.994 0.801 0.751 1
O28 0.001 0.772 0.577 1
O29 0.991 0.228 0.415 1
O30 0.082 0.658 0.333 1
O31 0.379 0.520 0.320 1
O32 0.741 0.342 0.165 1
O33 0.343 0.484 0.671 1
O34 0.524 0.382 0.825 1
O35 0.767 0.229 0.924 1
O36 0.764 0.254 0.572 1
O37 0.789 0.207 0.747 1
O38 0.660 0.258 0.335 1
O39 0.187 0.485 0.175 1
O40 0.072 0.541 0.832 1
O41 0.488 0.327 0.175 1
O42 0.345 0.330 0.031 1
O43 0.330 0.333 0.533 1
O44 0.474 0.184 0.683 1
O45 0.093 0.380 0.318 1
O46 0.183 0.348 0.683 1
O47 0.655 0.084 0.835 1
O48 0.799 0.996 0.257 1
O49 0.788 0.009 0.082 1
O50 0.526 0.094 0.322 1
O51 0.328 0.190 0.178 1
O52 0.382 0.072 0.830 1
O53 0.085 0.260 0.835 1
O54 0.977 0.246 0.063 1
O55 0.012 0.201 0.238 1
O56 0.256 0.082 0.336 1
O57 0.251 0.983 0.564 1
O58 0.197 0.014 0.739 1
# Crystal system = triclinic
# Energy of formation = -2524 meV per atom
# DFT total energy = -7.053 eV per atom
# Energy above the most stable polymorph in this dataset = 0.8 kJ/mol of atoms